(1)
First-principles (r²SCAN) data for crystalline KTi5Se8 at its relaxed geometry, as listed in the Materials Project database.

Crystal system: monoclinic
E_form: -135.3 kJ/mol of atoms
Space-group type: No. 12
Total energy: -204.8 eV per formula unit

Lattice parameters (Å, degrees): 3.659 9.129 9.677 104.03 100.90 90.00
Sites, in units of the cell vectors:
Se 0.239 0.158 0.479
K 0.500 0.500 0.000
Se 0.914 0.184 0.828
Se 0.086 0.816 0.172
Se 0.838 0.503 0.676
Ti 0.291 0.649 0.581
Ti 0.653 0.990 0.305
Ti 0.709 0.351 0.419
Se 0.426 0.828 0.853
Ti 0.348 0.010 0.695
Se 0.162 0.497 0.324
Se 0.761 0.842 0.521
Ti 0.000 0.000 0.000
Se 0.574 0.172 0.147

(2)
First-principles (r²SCAN) data for crystalline TiMnRh2 at its relaxed geometry, as listed in the Materials Project database.

Crystal system: cubic
E_form: -76.4 kJ/mol of atoms
Space-group type: No. 225
Total energy: -79.1 eV per formula unit

Lattice parameters (Å, degrees): 4.333 4.333 4.333 60.00 60.00 60.00
Sites, in units of the cell vectors:
Rh 0.000 0.000 0.000
Mn 0.250 0.250 0.250
Rh 0.500 0.500 0.500
Ti 0.750 0.750 0.750

(3)
First-principles (r²SCAN) data for crystalline Th2Cu at its relaxed geometry, as listed in the Materials Project database.

Crystal system: hexagonal
E_form: 52.8 kJ/mol of atoms
Space-group type: No. 191
Total energy: -156.2 eV per formula unit

Lattice parameters (Å, degrees): 5.326 5.326 3.082 90.00 90.00 120.00
Sites, in units of the cell vectors:
Cu 0.000 0.000 0.000
Th 0.667 0.333 0.500
Th 0.333 0.667 0.500

(4)
First-principles (r²SCAN) data for crystalline ZnAg2I4 at its relaxed geometry, as listed in the Materials Project database.

Crystal system: orthorhombic
E_form: -46.3 kJ/mol of atoms
Space-group type: No. 31
Total energy: -153.2 eV per formula unit

Lattice parameters (Å, degrees): 7.343 7.674 9.085 90.00 90.00 90.00
Sites, in units of the cell vectors:
Zn 0.876 0.329 0.000
I 0.487 0.821 0.255
Ag 0.873 0.824 0.247
I 0.519 0.344 0.000
I 0.987 0.179 0.755
I 0.487 0.821 0.745
I 0.987 0.179 0.245
Ag 0.373 0.176 0.747
Ag 0.873 0.824 0.753
Zn 0.376 0.671 0.500
I 0.518 0.356 0.500
I 0.019 0.656 0.500
Ag 0.373 0.176 0.253
I 0.018 0.644 0.000

(5)
First-principles (r²SCAN) data for crystalline TbTmRh2 at its relaxed geometry, as listed in the Materials Project database.

Crystal system: cubic
E_form: -93.4 kJ/mol of atoms
Space-group type: No. 225
Total energy: -118.5 eV per formula unit

Lattice parameters (Å, degrees): 4.790 4.790 4.790 60.00 60.00 60.00
Sites, in units of the cell vectors:
Tb 0.250 0.250 0.250
Tm 0.750 0.750 0.750
Rh 0.000 0.000 0.000
Rh 0.500 0.500 0.500

(6)
First-principles (r²SCAN) data for crystalline PrAu2 at its relaxed geometry, as listed in the Materials Project database.

Crystal system: orthorhombic
E_form: -81.9 kJ/mol of atoms
Space-group type: No. 74
Total energy: -133.1 eV per formula unit

Lattice parameters (Å, degrees): 4.558 6.028 6.028 73.91 67.79 67.79
Sites, in units of the cell vectors:
Au 0.840 0.692 0.629
Au 0.160 0.871 0.808
Pr 0.466 0.284 0.784
Au 0.840 0.129 0.192
Pr 0.534 0.716 0.216
Au 0.160 0.308 0.371

(7)
First-principles (r²SCAN) data for crystalline PtI4 at its relaxed geometry, as listed in the Materials Project database.

Crystal system: orthorhombic
E_form: -18.3 kJ/mol of atoms
Space-group type: No. 61
Total energy: -150.7 eV per formula unit

Lattice parameters (Å, degrees): 6.934 13.395 15.914 90.00 90.00 90.00
Sites, in units of the cell vectors:
I 0.585 0.285 0.693
I 0.915 0.785 0.693
I 0.750 0.554 0.573
I 0.444 0.709 0.069
I 0.750 0.054 0.573
I 0.415 0.715 0.307
I 0.250 0.554 0.927
Pt 0.405 0.173 0.811
Pt 0.595 0.673 0.689
I 0.556 0.209 0.431
I 0.250 0.446 0.427
I 0.915 0.715 0.193
I 0.279 0.940 0.185
I 0.750 0.946 0.073
Pt 0.595 0.827 0.189
I 0.085 0.285 0.807
I 0.415 0.785 0.807
I 0.721 0.440 0.315
I 0.721 0.060 0.815
I 0.779 0.940 0.315
I 0.221 0.060 0.685
Pt 0.095 0.827 0.311
I 0.750 0.446 0.073
I 0.056 0.291 0.569
I 0.250 0.946 0.427
I 0.556 0.291 0.931
Pt 0.095 0.673 0.811
I 0.944 0.791 0.931
I 0.056 0.209 0.069
I 0.944 0.709 0.431
I 0.279 0.560 0.685
I 0.585 0.215 0.193
I 0.221 0.440 0.185
Pt 0.405 0.327 0.311
I 0.085 0.215 0.307
I 0.779 0.560 0.815
Pt 0.905 0.327 0.189
Pt 0.905 0.173 0.689
I 0.444 0.791 0.569
I 0.250 0.054 0.927

(8)
First-principles (r²SCAN) data for crystalline MgTl at its relaxed geometry, as listed in the Materials Project database.

Crystal system: cubic
E_form: -2.6 kJ/mol of atoms
Space-group type: No. 221
Total energy: -57.4 eV per formula unit

Lattice parameters (Å, degrees): 3.638 3.638 3.638 90.00 90.00 90.00
Sites, in units of the cell vectors:
Mg 0.000 0.000 0.000
Tl 0.500 0.500 0.500

(9)
First-principles (r²SCAN) data for crystalline US at its relaxed geometry, as listed in the Materials Project database.

Crystal system: cubic
E_form: -161.7 kJ/mol of atoms
Space-group type: No. 225
Total energy: -91.3 eV per formula unit

Lattice parameters (Å, degrees): 3.968 3.968 3.968 60.00 60.00 60.00
Sites, in units of the cell vectors:
U 0.500 0.500 0.500
S 0.000 0.000 0.000

(10)
First-principles (r²SCAN) data for crystalline EuAsO4 at its relaxed geometry, as listed in the Materials Project database.

Crystal system: tetragonal
E_form: -215.3 kJ/mol of atoms
Space-group type: No. 141
Total energy: -90.5 eV per formula unit

Lattice parameters (Å, degrees): 6.041 6.041 6.041 106.44 106.44 115.71
Sites, in units of the cell vectors:
O 0.365 0.795 0.570
O 0.795 0.724 0.430
Eu 0.125 0.875 0.250
O 0.724 0.795 0.930
As 0.625 0.375 0.250
Eu 0.875 0.125 0.750
O 0.795 0.365 0.070
O 0.205 0.635 0.930
O 0.276 0.205 0.070
O 0.635 0.205 0.430
As 0.375 0.625 0.750
O 0.205 0.276 0.570

(11)
First-principles (r²SCAN) data for crystalline Sr2PrNbO6 at its relaxed geometry, as listed in the Materials Project database.

Crystal system: cubic
E_form: -307.1 kJ/mol of atoms
Space-group type: No. 201
Total energy: -152.1 eV per formula unit

Lattice parameters (Å, degrees): 8.499 8.499 8.499 90.00 90.00 90.00
Sites, in units of the cell vectors:
Nb 0.750 0.750 0.750
O 0.703 0.480 0.213
Pr 0.250 0.250 0.250
Sr 0.000 0.000 0.000
O 0.787 0.703 0.520
O 0.980 0.287 0.203
O 0.797 0.980 0.713
O 0.713 0.797 0.980
O 0.520 0.213 0.297
O 0.203 0.020 0.713
Sr 0.500 0.500 0.000
Nb 0.750 0.250 0.250
Pr 0.750 0.250 0.750
Sr 0.000 0.000 0.500
O 0.020 0.713 0.203
O 0.703 0.520 0.787
O 0.480 0.213 0.703
Sr 0.500 0.000 0.000
O 0.713 0.203 0.020
Pr 0.250 0.750 0.750
Nb 0.250 0.250 0.750
Nb 0.250 0.750 0.250
O 0.287 0.797 0.020
O 0.020 0.287 0.797
O 0.520 0.787 0.703
O 0.797 0.020 0.287
Sr 0.500 0.000 0.500
Sr 0.500 0.500 0.500
O 0.787 0.297 0.480
Pr 0.750 0.750 0.250
Sr 0.000 0.500 0.500
O 0.203 0.980 0.287
O 0.297 0.480 0.787
O 0.980 0.713 0.797
O 0.480 0.787 0.297
O 0.287 0.203 0.980
Sr 0.000 0.500 0.000
O 0.297 0.520 0.213
O 0.213 0.703 0.480
O 0.213 0.297 0.520

(12)
First-principles (r²SCAN) data for crystalline Yb2GaHg at its relaxed geometry, as listed in the Materials Project database.

Crystal system: cubic
E_form: -56.6 kJ/mol of atoms
Space-group type: No. 225
Total energy: -136.2 eV per formula unit

Lattice parameters (Å, degrees): 5.047 5.047 5.047 60.00 60.00 60.00
Sites, in units of the cell vectors:
Yb 0.250 0.250 0.250
Ga 0.500 0.500 0.500
Hg 0.000 0.000 0.000
Yb 0.750 0.750 0.750

(13)
First-principles (r²SCAN) data for crystalline YbB2 at its relaxed geometry, as listed in the Materials Project database.

Crystal system: hexagonal
E_form: -73.9 kJ/mol of atoms
Space-group type: No. 191
Total energy: -53.5 eV per formula unit

Lattice parameters (Å, degrees): 3.246 3.246 3.734 90.00 90.00 120.00
Sites, in units of the cell vectors:
Yb 0.000 0.000 0.000
B 0.667 0.333 0.500
B 0.333 0.667 0.500

(14)
First-principles (r²SCAN) data for crystalline SiO2 at its relaxed geometry, as listed in the Materials Project database.

Crystal system: monoclinic
E_form: -291.2 kJ/mol of atoms
Space-group type: No. 12
Total energy: -29.8 eV per formula unit

Lattice parameters (Å, degrees): 8.927 9.200 9.200 111.01 98.72 98.72
Sites, in units of the cell vectors:
O 0.731 0.879 0.879
Si 0.105 0.892 0.404
O 0.000 0.725 0.275
O 0.228 0.525 0.854
O 0.293 0.760 0.760
O 0.196 0.990 0.317
O 0.196 0.317 0.990
O 0.269 0.121 0.121
Si 0.895 0.108 0.596
Si 0.671 0.298 0.095
O 0.512 0.700 0.944
Si 0.690 0.003 0.800
O 0.804 0.010 0.683
O 0.000 0.500 0.000
O 0.488 0.056 0.300
O 0.228 0.854 0.525
Si 0.671 0.095 0.298
Si 0.310 0.997 0.200
O 0.000 0.000 0.500
O 0.488 0.300 0.056
O 0.285 0.821 0.062
O 0.707 0.240 0.240
O 0.000 0.275 0.725
Si 0.329 0.702 0.905
Si 0.105 0.404 0.892
O 0.772 0.475 0.146
O 0.772 0.146 0.475
Si 0.690 0.800 0.003
O 0.804 0.683 0.010
Si 0.310 0.200 0.997
O 0.285 0.062 0.821
O 0.512 0.944 0.700
Si 0.895 0.596 0.108
Si 0.329 0.905 0.702
O 0.715 0.179 0.938
O 0.715 0.938 0.179

(15)
First-principles (r²SCAN) data for crystalline PrSnPd at its relaxed geometry, as listed in the Materials Project database.

Crystal system: hexagonal
E_form: -91.5 kJ/mol of atoms
Space-group type: No. 189
Total energy: -80.0 eV per formula unit

Lattice parameters (Å, degrees): 7.653 7.653 4.168 90.00 90.00 120.00
Sites, in units of the cell vectors:
Sn 0.250 0.000 0.500
Pd 0.333 0.667 0.500
Sn 0.750 0.750 0.500
Pr 0.000 0.587 0.000
Sn 0.000 0.250 0.500
Pr 0.413 0.413 0.000
Pr 0.587 0.000 0.000
Pd 0.000 0.000 0.000
Pd 0.667 0.333 0.500

(16)
First-principles (r²SCAN) data for crystalline BeP2O6 at its relaxed geometry, as listed in the Materials Project database.

Crystal system: orthorhombic
E_form: -243.9 kJ/mol of atoms
Space-group type: No. 20
Total energy: -80.9 eV per formula unit

Lattice parameters (Å, degrees): 7.122 7.122 8.866 90.00 90.00 91.42
Sites, in units of the cell vectors:
O 0.351 0.393 0.263
P 0.062 0.062 0.000
Be 0.172 0.360 0.782
O 0.603 0.956 0.864
O 0.922 0.151 0.454
O 0.521 0.140 0.097
P 0.407 0.593 0.250
P 0.349 0.891 0.472
O 0.479 0.860 0.597
O 0.104 0.165 0.859
O 0.695 0.312 0.611
O 0.860 0.479 0.403
P 0.938 0.938 0.500
O 0.835 0.896 0.641
O 0.688 0.305 0.889
O 0.140 0.521 0.903
P 0.651 0.109 0.972
Be 0.360 0.172 0.218
O 0.305 0.688 0.111
O 0.078 0.849 0.954
O 0.393 0.351 0.737
O 0.607 0.649 0.237
Be 0.828 0.640 0.282
P 0.593 0.407 0.750
O 0.896 0.835 0.359
P 0.891 0.349 0.528
Be 0.640 0.828 0.718
O 0.649 0.607 0.763
O 0.165 0.104 0.141
P 0.109 0.651 0.028
O 0.312 0.695 0.389
O 0.849 0.078 0.046
O 0.397 0.044 0.364
O 0.044 0.397 0.636
O 0.151 0.922 0.546
O 0.956 0.603 0.136

(17)
First-principles (r²SCAN) data for crystalline HoOF at its relaxed geometry, as listed in the Materials Project database.

Crystal system: trigonal
E_form: -410.7 kJ/mol of atoms
Space-group type: No. 166
Total energy: -54.7 eV per formula unit

Lattice parameters (Å, degrees): 6.625 6.625 6.625 33.04 33.04 33.04
Sites, in units of the cell vectors:
F 0.130 0.130 0.130
O 0.621 0.621 0.621
Ho 0.259 0.259 0.259
Ho 0.741 0.741 0.741
F 0.870 0.870 0.870
O 0.379 0.379 0.379

(18)
First-principles (r²SCAN) data for crystalline Sr4Ru2O9 at its relaxed geometry, as listed in the Materials Project database.

Crystal system: trigonal
E_form: -220.7 kJ/mol of atoms
Space-group type: No. 150
Total energy: -199.5 eV per formula unit

Lattice parameters (Å, degrees): 9.679 9.679 8.032 90.00 90.00 120.00
Sites, in units of the cell vectors:
O 0.990 0.827 0.724
Sr 0.334 0.013 0.248
O 0.504 0.682 0.032
O 0.848 0.492 0.246
Ru 0.000 0.000 0.845
Sr 0.672 0.000 0.000
O 0.827 0.990 0.276
O 0.688 0.512 0.522
O 0.488 0.177 0.522
O 0.177 0.496 0.032
O 0.000 0.165 0.000
O 0.165 0.000 0.000
O 0.010 0.837 0.276
O 0.152 0.644 0.754
Sr 0.666 0.679 0.752
Sr 0.013 0.334 0.752
Sr 0.328 0.328 0.000
O 0.318 0.823 0.032
Sr 0.346 0.346 0.500
Sr 0.679 0.666 0.248
O 0.644 0.152 0.246
O 0.492 0.848 0.754
Sr 0.321 0.987 0.752
O 0.173 0.163 0.724
O 0.823 0.318 0.968
Sr 0.987 0.321 0.248
O 0.837 0.010 0.724
Sr 0.000 0.672 0.000
O 0.512 0.688 0.478
O 0.682 0.504 0.968
O 0.496 0.177 0.968
O 0.508 0.356 0.246
Ru 0.667 0.333 0.401
O 0.823 0.312 0.522
O 0.835 0.835 0.000
O 0.177 0.488 0.478
O 0.312 0.823 0.478
O 0.356 0.508 0.754
Ru 0.667 0.333 0.088
Sr 0.654 0.000 0.500
Sr 0.000 0.654 0.500
Ru 0.333 0.667 0.912
Ru 0.000 0.000 0.155
Ru 0.333 0.667 0.599
O 0.163 0.173 0.276